# TiAl3 (PBE-GGA, relaxed)
# Raw total energy (eV per atom): -5.156
# E_form (eV per atom): -0.373
data_TiAl3
_symmetry_space_group_name_H-M 'P m -3 m'
_symmetry_Int_Tables_number 221
_symmetry_space_group_name_Hall '-P 4 2 3'
_cell_length_a 3.9760
_cell_length_b 3.9760
_cell_length_c 3.9760
_cell_angle_alpha 90.00
_cell_angle_beta 90.00
_cell_angle_gamma 90.00
loop_
_atom_site_label
_atom_site_type_symbol
_atom_site_fract_x
_atom_site_fract_y
_atom_site_fract_z
Ti1 Ti 0.0000 0.0000 0.0000
Al1 Al 0.0000 0.5000 0.5000

# Ag4P2S7 (PBE-GGA, relaxed)
# E (MP2020) (eV per atom): -4.372
# Spin magnetization (μB/f.u.): 0.000
# Raw total energy (eV per atom): -4.101
# E_form (eV per atom): -0.440
data_Ag4P2S7
_symmetry_space_group_name_H-M 'C 1 2/c 1'
_symmetry_Int_Tables_number 15
_symmetry_space_group_name_Hall '-C 2yc'
_cell_length_a 10.9519
_cell_length_b 6.6556
_cell_length_c 16.5334
_cell_angle_alpha 90.00
_cell_angle_beta 106.11
_cell_angle_gamma 90.00
loop_
_atom_site_label
_atom_site_type_symbol
_atom_site_fract_x
_atom_site_fract_y
_atom_site_fract_z
Ag1 Ag 0.0415 0.2196 0.0550
Ag2 Ag 0.2418 0.2037 0.6629
P1 P 0.1081 0.1750 0.8564
S1 S 0.0000 0.0052 0.7500
S2 S 0.0052 0.3572 0.5974
S3 S 0.1698 0.0695 0.4319
S4 S 0.2439 0.1808 0.1762

# Zr3O (PBE-GGA, relaxed)
# E (MP2020) (eV per atom): -9.193
# Raw total energy (eV per atom): -9.021
# E_form (eV per atom): -1.545
data_Zr3O
_symmetry_space_group_name_H-M 'R 3 2'
_symmetry_Int_Tables_number 155
_symmetry_space_group_name_Hall 'R 3 2"'
_cell_length_a 5.6674
_cell_length_b 5.6674
_cell_length_c 31.4455
_cell_angle_alpha 90.00
_cell_angle_beta 90.00
_cell_angle_gamma 120.00
loop_
_atom_site_label
_atom_site_type_symbol
_atom_site_fract_x
_atom_site_fract_y
_atom_site_fract_z
Zr1 Zr 0.0000 0.6589 0.0000
Zr2 Zr 0.0000 0.6610 0.5000
Zr3 Zr 0.0013 0.3405 0.5836
O1 O 0.0000 0.0000 0.1252
O2 O 0.0000 0.0000 0.2915

# Te2MoWS2 (PBE-GGA, relaxed)
# E (MP2020) (eV per atom): -6.994
# Spin magnetization (μB/f.u.): 0.000
# Raw total energy (eV per atom): -6.826
# E_form (eV per atom): -0.600
data_Te2MoWS2
_symmetry_space_group_name_H-M 'P 3 m 1'
_symmetry_Int_Tables_number 156
_symmetry_space_group_name_Hall 'P 3 -2"'
_cell_length_a 3.3598
_cell_length_b 3.3598
_cell_length_c 40.1377
_cell_angle_alpha 90.00
_cell_angle_beta 90.00
_cell_angle_gamma 120.00
loop_
_atom_site_label
_atom_site_type_symbol
_atom_site_fract_x
_atom_site_fract_y
_atom_site_fract_z
Te1 Te 0.0000 0.0000 0.0000
Te2 Te 0.0000 0.0000 0.0941
Te3 Te 0.6667 0.3333 0.1910
Te4 Te 0.6667 0.3333 0.2857
Mo1 Mo 0.6667 0.3333 0.0471
Mo2 Mo 0.6667 0.3333 0.6729
W1 W 0.0000 0.0000 0.2383
W2 W 0.0000 0.0000 0.8606
S1 S 0.0000 0.0000 0.6352
S2 S 0.0000 0.0000 0.7106
S3 S 0.6667 0.3333 0.8228
S4 S 0.6667 0.3333 0.8984

# NdAl (PBE-GGA, relaxed)
# Raw total energy (eV per atom): -4.607
# E_form (eV per atom): -0.350
data_NdAl
_symmetry_space_group_name_H-M 'P m -3 m'
_symmetry_Int_Tables_number 221
_symmetry_space_group_name_Hall '-P 4 2 3'
_cell_length_a 3.7257
_cell_length_b 3.7257
_cell_length_c 3.7257
_cell_angle_alpha 90.00
_cell_angle_beta 90.00
_cell_angle_gamma 90.00
loop_
_atom_site_label
_atom_site_type_symbol
_atom_site_fract_x
_atom_site_fract_y
_atom_site_fract_z
Nd1 Nd 0.0000 0.0000 0.0000
Al1 Al 0.5000 0.5000 0.5000

# CrN2 (PBE-GGA, relaxed)
# E (MP2020) (eV per atom): -8.884
# Spin magnetization (μB/f.u.): 0.000
# Raw total energy (eV per atom): -8.643
# E_form (eV per atom): -0.108
data_CrN2
_symmetry_space_group_name_H-M 'P 21 21 21'
_symmetry_Int_Tables_number 19
_symmetry_space_group_name_Hall 'P 2ac 2ab'
_cell_length_a 5.5573
_cell_length_b 9.0092
_cell_length_c 29.1513
_cell_angle_alpha 90.00
_cell_angle_beta 90.00
_cell_angle_gamma 90.00
loop_
_atom_site_label
_atom_site_type_symbol
_atom_site_fract_x
_atom_site_fract_y
_atom_site_fract_z
Cr1 Cr 0.0021 0.1857 0.3614
Cr2 Cr 0.0036 0.1932 0.6954
Cr3 Cr 0.0073 0.3111 0.4721
Cr4 Cr 0.1083 0.8133 0.6941
Cr5 Cr 0.1086 0.8068 0.3613
Cr6 Cr 0.1163 0.6870 0.4731
N1 N 0.0436 0.7494 0.0838
N2 N 0.0554 0.0124 0.6947
N3 N 0.0629 0.4968 0.4740
N4 N 0.0653 0.7518 0.7488
N5 N 0.0652 0.9890 0.3622
N6 N 0.0885 0.7408 0.4174
N7 N 0.0971 0.2723 0.9932
N8 N 0.0999 0.2371 0.8402
N9 N 0.1063 0.2241 0.1736
N10 N 0.2479 0.2654 0.3391
N11 N 0.2480 0.7165 0.1727
N12 N 0.2477 0.7769 0.9940

# LiCaRh (PBE-GGA, relaxed)
# Spin magnetization (μB/f.u.): 0.000
# Raw total energy (eV per atom): -3.680
# E_form (eV per atom): 0.080
data_LiCaRh
_symmetry_space_group_name_H-M 'F -4 3 m'
_symmetry_Int_Tables_number 216
_symmetry_space_group_name_Hall 'F -4 2 3'
_cell_length_a 6.2100
_cell_length_b 6.2100
_cell_length_c 6.2100
_cell_angle_alpha 90.00
_cell_angle_beta 90.00
_cell_angle_gamma 90.00
loop_
_atom_site_label
_atom_site_type_symbol
_atom_site_fract_x
_atom_site_fract_y
_atom_site_fract_z
Li1 Li 0.0000 0.0000 0.0000
Ca1 Ca 0.2500 0.2500 0.2500
Rh1 Rh 0.2500 0.2500 0.7500

# BaSrSmSbO6 (PBE-GGA, relaxed)
# E (MP2020) (eV per atom): -7.248
# Spin magnetization (μB/f.u.): 0.000
# Raw total energy (eV per atom): -6.836
# E_form (eV per atom): -3.033
data_BaSrSmSbO6
_symmetry_space_group_name_H-M 'P 2 2 2'
_symmetry_Int_Tables_number 16
_symmetry_space_group_name_Hall 'P 2 2'
_cell_length_a 8.5265
_cell_length_b 8.5328
_cell_length_c 8.5396
_cell_angle_alpha 90.00
_cell_angle_beta 90.00
_cell_angle_gamma 90.00
loop_
_atom_site_label
_atom_site_type_symbol
_atom_site_fract_x
_atom_site_fract_y
_atom_site_fract_z
Ba1 Ba 0.0000 0.0000 0.0000
Ba2 Ba 0.0000 0.0000 0.5000
Ba3 Ba 0.5000 0.0000 0.0000
Ba4 Ba 0.5000 0.5000 0.5000
Sr1 Sr 0.0000 0.5000 0.0000
Sr2 Sr 0.0000 0.5000 0.5000
Sr3 Sr 0.5000 0.0000 0.5000
Sr4 Sr 0.5000 0.5000 0.0000
Sm1 Sm 0.2507 0.2521 0.2505
Sb1 Sb 0.2495 0.2537 0.7493
O1 O 0.0160 0.2287 0.7246
O2 O 0.2201 0.2824 0.9831
O3 O 0.2200 0.4845 0.7134
O4 O 0.2717 0.0180 0.7748
O5 O 0.2859 0.2219 0.5169
O6 O 0.4824 0.2848 0.7823

# Tb2Ti2Fe22H (PBE-GGA, relaxed)
# E (MP2020) (eV per atom): -8.050
# Spin magnetization (μB/f.u.): 42.772
# Raw total energy (eV per atom): -8.043
# E_form (eV per atom): -0.094
data_Tb2Ti2Fe22H
_symmetry_space_group_name_H-M 'C 1 m 1'
_symmetry_Int_Tables_number 8
_symmetry_space_group_name_Hall 'C -2y'
_cell_length_a 12.0422
_cell_length_b 4.7679
_cell_length_c 12.0125
_cell_angle_alpha 90.00
_cell_angle_beta 90.06
_cell_angle_gamma 90.00
loop_
_atom_site_label
_atom_site_type_symbol
_atom_site_fract_x
_atom_site_fract_y
_atom_site_fract_z
Tb1 Tb 0.0000 0.0000 0.0000
Tb2 Tb 0.0002 0.5000 0.5000
Ti1 Ti 0.3140 0.0000 0.3143
Ti2 Ti 0.3142 0.5000 0.8137
Fe1 Fe 0.1079 0.0000 0.3848
Fe2 Fe 0.1077 0.5000 0.8861
Fe3 Fe 0.1107 0.0000 0.6106
Fe4 Fe 0.1106 0.5000 0.1104
Fe5 Fe 0.1744 0.0000 0.1749
Fe6 Fe 0.1755 0.0000 0.8178
Fe7 Fe 0.1748 0.5000 0.6744
Fe8 Fe 0.1755 0.5000 0.3187
Fe9 Fe 0.2469 0.2491 0.9981
Fe10 Fe 0.2468 0.2507 0.4982
Fe11 Fe 0.3181 0.0000 0.6751
Fe12 Fe 0.3185 0.5000 0.1758
Fe13 Fe 0.3844 0.5000 0.3841
Fe14 Fe 0.3846 0.0000 0.8847
Fe15 Fe 0.3853 0.5000 0.6080
Fe16 Fe 0.3860 0.0000 0.1073
Fe17 Fe 0.4982 0.2490 0.7471
Fe18 Fe 0.4983 0.2504 0.2466
H1 H 0.4974 0.5000 0.4973

# Hf3As2 (PBE-GGA, relaxed)
# Raw total energy (eV per atom): -8.743
# E_form (eV per atom): -0.905
data_Hf3As2
_symmetry_space_group_name_H-M 'P n m a'
_symmetry_Int_Tables_number 62
_symmetry_space_group_name_Hall '-P 2ac 2n'
_cell_length_a 10.5502
_cell_length_b 3.6919
_cell_length_c 10.0552
_cell_angle_alpha 90.00
_cell_angle_beta 90.00
_cell_angle_gamma 90.00
loop_
_atom_site_label
_atom_site_type_symbol
_atom_site_fract_x
_atom_site_fract_y
_atom_site_fract_z
Hf1 Hf 0.0449 0.2500 0.1252
Hf2 Hf 0.1282 0.7500 0.5684
Hf3 Hf 0.2151 0.2500 0.7930
As1 As 0.0298 0.7500 0.3232
As2 As 0.1934 0.7500 0.9983

# Pr2Si2PbS8 (PBE-GGA, relaxed)
# E (MP2020) (eV per atom): -5.940
# Spin magnetization (μB/f.u.): 0.001
# Raw total energy (eV per atom): -5.630
# E_form (eV per atom): -1.539
data_Pr2Si2PbS8
_symmetry_space_group_name_H-M 'C 1 c 1'
_symmetry_Int_Tables_number 9
_symmetry_space_group_name_Hall 'C -2yc'
_cell_length_a 15.7064
_cell_length_b 9.1220
_cell_length_c 10.2821
_cell_angle_alpha 90.00
_cell_angle_beta 118.96
_cell_angle_gamma 90.00
loop_
_atom_site_label
_atom_site_type_symbol
_atom_site_fract_x
_atom_site_fract_y
_atom_site_fract_z
Pr1 Pr 0.0000 0.0585 0.0000
Pr2 Pr 0.3419 0.0954 0.9949
Si1 Si 0.0876 0.2415 0.7680
Si2 Si 0.4091 0.2435 0.7248
Pb1 Pb 0.1589 0.4103 0.4963
S1 S 0.0514 0.1661 0.3116
S2 S 0.0681 0.4545 0.6736
S3 S 0.1664 0.1064 0.6943
S4 S 0.1658 0.2350 0.0049
S5 S 0.3364 0.3718 0.8157
S6 S 0.3423 0.2443 0.4884
S7 S 0.4096 0.0222 0.7925
S8 S 0.4434 0.3423 0.1930

# Al3H36C12N3F4 (PBE-GGA, relaxed)
# E (MP2020) (eV per atom): -5.082
# Spin magnetization (μB/f.u.): 2.000
# Raw total energy (eV per atom): -5.050
# E_form (eV per atom): -0.310
data_Al3H36C12N3F4
_symmetry_space_group_name_H-M 'C m m 2'
_symmetry_Int_Tables_number 35
_symmetry_space_group_name_Hall 'C 2 -2'
_cell_length_a 8.6275
_cell_length_b 25.8673
_cell_length_c 6.1016
_cell_angle_alpha 90.00
_cell_angle_beta 90.00
_cell_angle_gamma 90.00
loop_
_atom_site_label
_atom_site_type_symbol
_atom_site_fract_x
_atom_site_fract_y
_atom_site_fract_z
Al1 Al 0.0000 0.0000 0.0000
Al2 Al 0.0000 0.3348 0.9837
H1 H 0.0000 0.0848 0.5251
H2 H 0.0000 0.2484 0.5246
H3 H 0.0000 0.4182 0.5250
H4 H 0.1045 0.1196 0.7335
H5 H 0.1043 0.2137 0.7338
H6 H 0.1045 0.4530 0.7332
H7 H 0.1413 0.1319 0.2429
H8 H 0.1409 0.2015 0.2429
H9 H 0.1411 0.4653 0.2424
H10 H 0.2453 0.5000 0.4514
H11 H 0.2456 0.1666 0.4513
C1 C 0.0000 0.1192 0.6301
C2 C 0.0000 0.2142 0.6302
C3 C 0.0000 0.4526 0.6308
C4 C 0.1422 0.1667 0.3455
C5 C 0.1424 0.5000 0.3463
N1 N 0.0000 0.1667 0.4886
N2 N 0.0000 0.5000 0.4881
F1 F 0.0000 0.2793 0.1496
F2 F 0.1612 0.0000 0.8239